VASP calculation (PBE+U) on crystalline MnPH4NO3F3 at its relaxed geometry.

Summary:
Formation energy, eV/atom: -1.907

Cell: 5.4846 13.8184 7.8562 Å, 90.00 113.48 90.00°
With the nearest neighbours (Å) after each atom.
Space group P2_1/c (No. 14)
One atom of each set of equivalent atoms:
1 Mn 0.0000 0.0000 0.0000  2 F 1.88, 2 O 1.96
2 Mn 0.5000 0.0000 0.5000  2 F 1.91, 2 O 1.95
3 P 0.1275 0.1018 0.6840  3 O 1.52-1.53, 1 F 1.60
4 H 0.2365 0.6829 0.1710  1 N 1.04
5 H 0.2695 0.6714 0.3948  1 N 1.05
6 H 0.3891 0.7279 0.8266  1 N 1.03
7 H 0.4674 0.1627 0.1660  1 N 1.03
8 N 0.3571 0.6988 0.3080  4 H 1.03-1.05
9 O 0.1621 0.6046 0.9506  1 P 1.52
10 O 0.1966 0.0305 0.8457  1 P 1.53
11 O 0.3264 0.0981 0.5914  1 P 1.53
12 F 0.1378 0.6261 0.5315  1 H 1.64
13 F 0.1900 0.2069 0.7771  1 P 1.60
14 F 0.3268 0.0516 0.2555  1 Mn 1.91, 1 H 1.97